[1]
Cd3Cu2P10: relaxed, r2SCAN.

```
data_Cd3Cu2P10
_chemical_formula_sum 'Cd9 Cu6 P30'
_space_group_name_H-M_alt 'R 3 m'
_space_group_IT_number 160
_space_group_name_Hall 'R 3 -2"'
_cell_length_a 7.4276
_cell_length_b 7.4276
_cell_length_c 18.1540
_cell_angle_alpha 90.00
_cell_angle_beta 90.00
_cell_angle_gamma 120.00
loop_
_atom_site_label
_atom_site_fract_x
_atom_site_fract_y
_atom_site_fract_z
Cd1 0.2065 0.4130 0.0000
Cu1 0.0000 0.0000 0.1881
Cu2 0.0000 0.0000 0.8032
P1 0.0000 0.0000 0.6751
P2 0.0094 0.5047 0.1787
P3 0.0160 0.5080 0.2989
P4 0.1671 0.3342 0.1432
```

Computed properties:
formation energy from the elements: -0.17 eV/atom
mass density: 4.4 g cm⁻³


[2]
Pr2CdCu2: relaxed, r2SCAN.

```
data_Pr2CdCu2
_chemical_formula_sum 'Pr8 Cd4 Cu8'
_space_group_name_H-M_alt 'C 1 2/m 1'
_space_group_IT_number 12
_space_group_name_Hall '-C 2y'
_cell_length_a 8.486
_cell_length_b 7.561
_cell_length_c 7.578
_cell_angle_alpha 90.00
_cell_angle_beta 106.35
_cell_angle_gamma 90.00
loop_
_atom_site_label
_atom_site_fract_x
_atom_site_fract_y
_atom_site_fract_z
Pr1 0.173 0.000 0.234
Pr2 0.196 0.500 0.241
Cd1 0.000 0.274 0.500
Cu1 0.102 0.264 0.907
```

Computed properties:
formation energy from the elements: -0.25 eV/atom
mass density: 7.4 g cm⁻³


[3]
ScCdCu2: relaxed, r2SCAN.

```
data_ScCdCu2
_chemical_formula_sum 'Sc4 Cd4 Cu8'
_space_group_name_H-M_alt 'F m -3 m'
_space_group_IT_number 225
_space_group_name_Hall '-F 4 2 3'
_cell_length_a 6.350
_cell_length_b 6.350
_cell_length_c 6.350
_cell_angle_alpha 90.00
_cell_angle_beta 90.00
_cell_angle_gamma 90.00
loop_
_atom_site_label
_atom_site_fract_x
_atom_site_fract_y
_atom_site_fract_z
Sc1 0.000 0.000 0.000
Cd1 0.000 0.000 0.500
Cu1 0.250 0.250 0.250
```

Computed properties:
formation energy from the elements: -0.19 eV/atom
mass density: 7.4 g cm⁻³


Q: What is the mass density in the second record?
A: 7.4 g cm⁻³


Q: Which value of mass density does entry 2 give?
A: 7.4 g cm⁻³